Arrangement A

# PBE+U Li2CoSiO4, optimized geometry
# SG: Pnma, No. 62
data_Li2CoSiO4
_chemical_formula_sum 'Li8 Co4 Si4 O16'
_cell_length_a 10.908
_cell_length_b 6.195
_cell_length_c 5.099
_cell_angle_alpha 90.00
_cell_angle_beta 90.00
_cell_angle_gamma 90.00
_space_group_name_H-M_alt 'P 1'
_space_group_IT_number 1
_space_group_name_Hall 'P 1'
loop_
_atom_site_label
_atom_site_fract_x
_atom_site_fract_y
_atom_site_fract_z
Li1 0.168 0.005 0.201
Li2 0.168 0.495 0.201
Li3 0.332 0.505 0.701
Li4 0.332 0.995 0.701
Li5 0.668 0.005 0.299
Li6 0.668 0.495 0.299
Li7 0.832 0.505 0.799
Li8 0.832 0.995 0.799
Co1 0.075 0.750 0.807
Co2 0.425 0.250 0.307
Co3 0.575 0.750 0.693
Co4 0.925 0.250 0.193
Si1 0.086 0.250 0.689
Si2 0.414 0.750 0.189
Si3 0.586 0.250 0.811
Si4 0.914 0.750 0.311
O1 0.057 0.750 0.205
O2 0.086 0.250 0.365
O3 0.160 0.034 0.796
O4 0.160 0.466 0.796
O5 0.340 0.534 0.296
O6 0.340 0.966 0.296
O7 0.414 0.750 0.865
O8 0.443 0.250 0.705
O9 0.557 0.750 0.295
O10 0.586 0.250 0.135
O11 0.660 0.034 0.704
O12 0.660 0.466 0.704
O13 0.840 0.534 0.204
O14 0.840 0.966 0.204
O15 0.914 0.750 0.635
O16 0.943 0.250 0.795


Arrangement B

# PBE+U Li2CoSiO4, optimized geometry
# SG: P2, No. 3
data_Li2CoSiO4
_chemical_formula_sum 'Li12 Co6 Si6 O24'
_cell_length_a 8.726
_cell_length_b 5.039
_cell_length_c 11.534
_cell_angle_alpha 90.00
_cell_angle_beta 90.03
_cell_angle_gamma 90.00
_space_group_name_H-M_alt 'P 1'
_space_group_IT_number 1
_space_group_name_Hall 'P 1'
loop_
_atom_site_label
_atom_site_fract_x
_atom_site_fract_y
_atom_site_fract_z
Li1 0.059 0.000 0.247
Li2 0.164 0.670 0.581
Li3 0.223 0.492 0.086
Li4 0.276 0.992 0.914
Li5 0.335 0.170 0.419
Li6 0.440 0.500 0.753
Li7 0.560 0.500 0.247
Li8 0.665 0.170 0.581
Li9 0.724 0.992 0.086
Li10 0.777 0.492 0.914
Li11 0.836 0.670 0.419
Li12 0.941 0.000 0.753
Co1 0.000 0.926 0.000
Co2 0.231 0.619 0.334
Co3 0.270 0.118 0.666
Co4 0.500 0.426 0.000
Co5 0.730 0.118 0.334
Co6 0.769 0.619 0.666
Si1 0.000 0.200 0.500
Si2 0.094 0.481 0.833
Si3 0.406 0.981 0.166
Si4 0.500 0.700 0.500
Si5 0.594 0.981 0.834
Si6 0.906 0.481 0.167
O1 0.058 0.011 0.609
O2 0.070 0.167 0.872
O3 0.075 0.603 0.205
O4 0.145 0.392 0.461
O5 0.160 0.662 0.942
O6 0.217 0.489 0.724
O7 0.283 0.989 0.275
O8 0.340 0.162 0.058
O9 0.354 0.891 0.538
O10 0.425 0.104 0.795
O11 0.430 0.667 0.128
O12 0.443 0.511 0.391
O13 0.557 0.511 0.609
O14 0.570 0.667 0.872
O15 0.575 0.104 0.205
O16 0.646 0.891 0.462
O17 0.660 0.162 0.942
O18 0.717 0.989 0.725
O19 0.783 0.489 0.276
O20 0.840 0.662 0.058
O21 0.855 0.392 0.539
O22 0.925 0.603 0.795
O23 0.930 0.167 0.128
O24 0.942 0.011 0.391


The least stable of them is arrangement B.